<one>
Compound: SnP2O9
Source: the Materials Project
Functional: PBE
Structure: optimized geometry

Values from the calculation:
**Magnetization**: 15.996 Bohr magnetons per cell

Lattice parameters (Å, degrees): 8.7040 5.1328 16.1255 90.00 110.72 90.00
Space group P2_1/c (No. 14)
Unique sites:
Sn1 0.2376 0.2401 0.4800 [4 per cell]
P1 0.0069 0.2383 0.1163 [4 per cell]
P2 0.4620 0.7368 0.6047 [4 per cell]
O1 0.0457 0.0266 0.3955 [4 per cell]
O2 0.1062 0.1588 0.0586 [4 per cell]
O3 0.1221 0.2023 0.2156 [4 per cell]
O4 0.1458 0.5626 0.4030 [4 per cell]
O5 0.2638 0.6411 0.7416 [4 per cell]
O6 0.3160 0.5802 0.0602 [4 per cell]
O7 0.3798 0.1564 0.4053 [4 per cell]
O8 0.4278 0.0431 0.0681 [4 per cell]
O9 0.4894 0.7250 0.7065 [4 per cell]

<two>
Compound: SnP2O9
Source: the Materials Project
Functional: PBE
Structure: optimized geometry

Values from the calculation:
**Magnetization**: 15.985 Bohr magnetons per cell

Lattice parameters (Å, degrees): 8.8352 5.1272 14.8627 90.00 93.42 90.00
Space group C2/c (No. 15)
Unique sites:
Sn1 0.2500 0.2500 0.0000 [4 per cell]
P1 0.1036 0.2504 0.6106 [8 per cell]
O1 0.0000 0.1279 0.2500 [4 per cell]
O2 0.0520 0.1593 0.9269 [8 per cell]
O3 0.1167 0.2100 0.7171 [8 per cell]
O4 0.1330 0.4581 0.0932 [8 per cell]
O5 0.2334 0.0826 0.5760 [8 per cell]

Energy relative to the most stable one, in meV/atom: <one> 23; <two> 0

<one>
Compound: Sn4P2O9
Source: the Materials Project
Functional: PBE
Structure: optimized geometry

Values from the calculation:
**Magnetization**: 0.000 Bohr magnetons per cell

Lattice parameters (Å, degrees): 9.7302 7.2529 13.6988 90.00 90.00 90.00
Space group Pnma (No. 62)
Unique sites:
Sn1 0.0341 0.2500 0.1096 [4 per cell]
Sn2 0.1354 0.5150 0.6636 [8 per cell]
Sn3 0.1917 0.7500 0.4092 [4 per cell]
P1 0.0435 0.7500 0.1367 [4 per cell]
P2 0.1497 0.2500 0.4499 [4 per cell]
O1 0.0433 0.2500 0.7694 [4 per cell]
O2 0.0639 0.2500 0.9515 [4 per cell]
O3 0.0854 0.0718 0.4057 [8 per cell]
O4 0.1071 0.2500 0.5643 [4 per cell]
O5 0.1315 0.5718 0.1293 [8 per cell]
O6 0.1947 0.7500 0.9366 [4 per cell]
O7 0.2021 0.7500 0.5625 [4 per cell]

<two>
Compound: Sn4P2O9
Source: the Materials Project
Functional: PBE
Structure: optimized geometry

Values from the calculation:
**Magnetization**: 0.001 Bohr magnetons per cell

Lattice parameters (Å, degrees): 9.4831 7.1108 14.5949 90.00 105.42 90.00
Space group P2_1/c (No. 14)
Unique sites:
Sn1 0.0373 0.2163 0.3525 [4 per cell]
Sn2 0.2826 0.5196 0.6128 [4 per cell]
Sn3 0.3197 0.0016 0.5909 [4 per cell]
Sn4 0.3227 0.7288 0.3297 [4 per cell]
P1 0.0315 0.7083 0.4016 [4 per cell]
P2 0.3688 0.2330 0.8157 [4 per cell]
O1 0.0331 0.0026 0.1121 [4 per cell]
O2 0.0725 0.7316 0.8068 [4 per cell]
O3 0.0833 0.1629 0.5767 [4 per cell]
O4 0.1798 0.7113 0.4786 [4 per cell]
O5 0.2384 0.7134 0.1745 [4 per cell]
O6 0.2520 0.1019 0.8423 [4 per cell]
O7 0.2931 0.0767 0.2792 [4 per cell]
O8 0.4250 0.1291 0.7374 [4 per cell]
O9 0.4965 0.7366 0.0978 [4 per cell]

<three>
Compound: Sn4P2O9
Source: the Materials Project
Functional: PBE
Structure: optimized geometry

Values from the calculation:
**Magnetization**: 0.009 Bohr magnetons per cell

Lattice parameters (Å, degrees): 7.5241 9.7014 14.9256 90.00 110.66 90.00
Space group P2_1/c (No. 14)
Unique sites:
Sn1 0.0993 0.1792 0.3965 [4 per cell]
Sn2 0.1677 0.1207 0.6718 [4 per cell]
Sn3 0.3470 0.0200 0.1175 [4 per cell]
Sn4 0.3564 0.6621 0.9059 [4 per cell]
P1 0.0737 0.5734 0.3402 [4 per cell]
P2 0.4083 0.6614 0.1473 [4 per cell]
O1 0.0184 0.1869 0.2393 [4 per cell]
O2 0.0792 0.5146 0.6397 [4 per cell]
O3 0.1140 0.5390 0.8860 [4 per cell]
O4 0.1927 0.6558 0.4310 [4 per cell]
O5 0.1978 0.6114 0.1239 [4 per cell]
O6 0.2049 0.0234 0.8082 [4 per cell]
O7 0.4254 0.6838 0.6714 [4 per cell]
O8 0.4626 0.0759 0.2679 [4 per cell]
O9 0.4714 0.6276 0.0607 [4 per cell]

Energy relative to the most stable one, in meV/atom: <one> 82; <two> 20; <three> 0